Crystalline MgTi2 at its relaxed geometry, computed with PBE-GGA.

Summary:
Total magnetic moment ... 0.630 μB/f.u.
Calculated formation energy ... 65 kJ/mol of formula units
Total energy ... -5.57 eV per atom

a b c (Å): 5.144 5.144 4.892
angles (deg): 90.00 90.00 120.00
Positions (direct):
Mg 0.333 0.667 0.000
Mg 0.667 0.333 0.000
Ti 0.000 0.000 0.000
Ti 0.000 0.316 0.500
Ti 0.316 0.000 0.500
Ti 0.684 0.684 0.500

---

Crystalline Rb2S2O7 at its relaxed geometry, computed with PBE-GGA.

Summary:
Total magnetic moment ... 0.001 μB/f.u.
Offset from the most stable computed form ... 5.3 meV per atom
Calculated formation energy ... -2240 kJ/mol of formula units
Total energy ... -5.75 eV per atom

a b c (Å): 7.735 7.844 13.200
angles (deg): 99.82 91.69 92.25
Positions (direct):
Rb 0.056 0.296 0.342
Rb 0.277 0.879 0.155
Rb 0.285 0.206 0.628
Rb 0.384 0.625 0.868
Rb 0.616 0.375 0.132
Rb 0.715 0.794 0.372
Rb 0.723 0.121 0.845
Rb 0.944 0.704 0.658
S 0.158 0.361 0.085
S 0.202 0.775 0.417
S 0.222 0.114 0.893
S 0.435 0.740 0.609
S 0.565 0.260 0.391
S 0.778 0.886 0.107
S 0.798 0.225 0.583
S 0.842 0.639 0.915
O 0.005 0.579 0.873
O 0.059 0.664 0.442
O 0.090 0.229 0.976
O 0.093 0.032 0.815
O 0.149 0.943 0.397
O 0.250 0.253 0.147
O 0.272 0.495 0.054
O 0.308 0.996 0.950
O 0.316 0.843 0.528
O 0.319 0.606 0.638
O 0.319 0.687 0.343
O 0.340 0.239 0.857
O 0.416 0.322 0.447
O 0.470 0.888 0.691
O 0.530 0.112 0.309
O 0.584 0.678 0.553
O 0.660 0.761 0.143
O 0.681 0.313 0.657
O 0.681 0.394 0.362
O 0.684 0.157 0.472
O 0.692 0.004 0.050
O 0.728 0.505 0.946
O 0.750 0.747 0.853
O 0.851 0.057 0.603
O 0.907 0.968 0.185
O 0.910 0.771 0.024
O 0.941 0.336 0.558
O 0.995 0.421 0.127

---

Crystalline Na5LiN2 at its relaxed geometry, computed with PBE-GGA.

Summary:
Total magnetic moment ... 0.001 μB/f.u.
Offset from the most stable computed form ... 209.4 meV per atom
Calculated formation energy ... 234 kJ/mol of formula units
Total energy ... -2.76 eV per atom

a b c (Å): 4.329 4.329 6.146
angles (deg): 91.03 91.03 91.45
Positions (direct):
Na 0.000 0.000 0.000
Na 0.049 0.530 0.714
Na 0.470 0.951 0.286
Na 0.534 0.466 0.000
Na 0.991 0.009 0.500
Li 0.517 0.483 0.500
N 0.044 0.492 0.278
N 0.508 0.956 0.722

---

Crystalline MgMoWS4 at its relaxed geometry, computed with PBE-GGA.

Summary:
Total magnetic moment ... 0.001 μB/f.u.
Offset from the most stable computed form ... 8.3 meV per atom
Calculated formation energy ... -647 kJ/mol of formula units
Total energy ... -6.66 eV per atom

a b c (Å): 3.198 3.198 28.306
angles (deg): 90.00 90.00 120.00
Positions (direct):
Mg 0.000 0.000 0.000
Mo 0.000 0.000 0.839
W 0.333 0.667 0.157
S 0.000 0.000 0.101
S 0.000 0.000 0.213
S 0.333 0.667 0.784
S 0.333 0.667 0.895

---

Crystalline Mg6AlCuO8 at its relaxed geometry, computed with PBE-GGA.

Summary:
Total magnetic moment ... 0.105 μB/f.u.
Offset from the most stable computed form ... 46.3 meV per atom
Calculated formation energy ... -4220 kJ/mol of formula units
Total energy ... -5.95 eV per atom

a b c (Å): 4.210 4.210 8.713
angles (deg): 90.00 90.00 90.00
Positions (direct):
Mg 0.000 0.000 0.000
Mg 0.000 0.500 0.255
Mg 0.000 0.500 0.745
Mg 0.500 0.000 0.255
Mg 0.500 0.000 0.745
Mg 0.500 0.500 0.000
Al 0.000 0.000 0.500
Cu 0.500 0.500 0.500
O 0.000 0.000 0.278
O 0.000 0.000 0.722
O 0.000 0.500 0.000
O 0.000 0.500 0.500
O 0.500 0.000 0.000
O 0.500 0.000 0.500
O 0.500 0.500 0.232
O 0.500 0.500 0.768

---

Crystalline K2Na2Pr2MgNb2O10 at its relaxed geometry, computed with PBE-GGA.

Summary:
Total magnetic moment ... 0.000 μB/f.u.
Offset from the most stable computed form ... 0.0 meV per atom
Calculated formation energy ... -4917 kJ/mol of formula units
Total energy ... -6.83 eV per atom

a b c (Å): 5.985 5.985 8.689
angles (deg): 90.21 90.21 93.25
Positions (direct):
K 0.194 0.806 0.000
K 0.806 0.194 0.000
Na 0.194 0.194 0.767
Na 0.729 0.729 0.305
Pr 0.212 0.655 0.531
Pr 0.655 0.212 0.531
Mg 0.443 0.443 0.136
Nb 0.150 0.150 0.332
Nb 0.688 0.688 0.787
O 0.220 0.220 0.092
O 0.400 0.952 0.370
O 0.440 0.440 0.354
O 0.455 0.455 0.696
O 0.477 0.902 0.705
O 0.634 0.634 0.005
O 0.902 0.477 0.705
O 0.919 0.919 0.794
O 0.951 0.951 0.453
O 0.952 0.400 0.370